CdP4 | meta-GGA r2SCAN | relaxed

Computed properties:
Formation energy = -121 meV/atom

extended XYZ file:
```
10
Lattice="-4.259 2.288 -1.837 -2.944 -2.689 3.476 1.516 6.204 4.213" Properties=species:S:1:pos:R:3 pbc="T T T"
P -2.690 0.037 3.215
P -2.267 3.320 5.177
P -3.420 2.484 0.674
P -2.997 5.766 2.636
P -4.989 2.920 2.116
P -2.964 5.341 4.769
P -2.723 0.462 1.082
P -0.698 2.883 3.735
Cd -1.371 4.246 1.188
Cd 0.000 0.000 0.000
```

Ac3La | meta-GGA r2SCAN | relaxed

Computed properties:
Energy relative to the lowest polymorph listed for this composition = 0.0 meV per atom
Formation energy = 24 meV/atom

extended XYZ file:
```
8
Lattice="8.022 0.000 0.000 -4.011 6.947 0.000 0.000 0.000 6.506" Properties=species:S:1:pos:R:3 pbc="T T T"
La 0.000 4.631 4.880
La 4.011 2.316 1.627
Ac 1.988 5.779 1.627
Ac 0.000 2.336 1.627
Ac 4.011 4.611 4.880
Ac -1.988 5.779 1.627
Ac 5.999 1.168 4.880
Ac 2.023 1.168 4.880
```

Tm2GaCo2 | meta-GGA r2SCAN | relaxed

Computed properties:
Formation energy = -386 meV/atom

extended XYZ file:
```
5
Lattice="2.478 -1.597 2.805 -0.853 4.172 3.128 -3.964 -3.202 -1.272" Properties=species:S:1:pos:R:3 pbc="T T T"
Co 0.629 2.185 3.640
Co 0.996 0.390 2.293
Tm -0.615 -1.925 2.399
Tm -1.724 1.297 2.262
Ga 0.000 0.000 0.000
```